1.
DFT (GGA+U) results for a geometry-optimized Sr2TiFeO6 structure.

a = 7.883 Å, b = 7.883 Å, c = 7.883 Å
α = 90.00°, β = 90.00°, γ = 90.00°
Space group Fm-3m (No. 225)
Asymmetric unit:
Sr 0.250 0.250 0.250 (multiplicity 8)
Ti 0.000 0.000 0.000 (multiplicity 4)
Fe 0.000 0.000 0.500 (multiplicity 4)
O 0.000 0.000 0.249 (multiplicity 24)

2.
DFT (GGA+U) results for a geometry-optimized Li3V3P8O29 structure.

Properties
* polymorph energy (0 for the lowest one): 11 meV per atom

a = 9.732 Å, b = 9.766 Å, c = 14.373 Å
α = 89.29°, β = 89.69°, γ = 60.14°
Space group P1 (No. 1)
Asymmetric unit:
Li 0.000 0.000 0.000 (multiplicity 1)
Li 0.061 0.110 0.399 (multiplicity 1)
Li 0.461 0.546 0.500 (multiplicity 1)
Li 0.539 0.655 0.891 (multiplicity 1)
Li 0.688 0.635 0.385 (multiplicity 1)
Li 0.769 0.329 0.940 (multiplicity 1)
V 0.201 0.895 0.198 (multiplicity 1)
V 0.208 0.325 0.705 (multiplicity 1)
V 0.333 0.326 0.192 (multiplicity 1)
V 0.335 0.762 0.700 (multiplicity 1)
V 0.763 0.895 0.695 (multiplicity 1)
V 0.778 0.762 0.196 (multiplicity 1)
P 0.069 0.247 0.103 (multiplicity 1)
P 0.090 0.103 0.612 (multiplicity 1)
P 0.104 0.659 0.584 (multiplicity 1)
P 0.105 0.664 0.080 (multiplicity 1)
P 0.436 0.992 0.313 (multiplicity 1)
P 0.439 0.988 0.816 (multiplicity 1)
P 0.449 0.552 0.284 (multiplicity 1)
P 0.471 0.407 0.793 (multiplicity 1)
P 0.542 0.244 0.610 (multiplicity 1)
P 0.545 0.645 0.108 (multiplicity 1)
P 0.680 0.645 0.601 (multiplicity 1)
P 0.687 0.107 0.111 (multiplicity 1)
P 0.851 0.548 0.782 (multiplicity 1)
P 0.854 0.014 0.295 (multiplicity 1)
P 0.991 0.012 0.787 (multiplicity 1)
P 0.997 0.410 0.286 (multiplicity 1)
O 0.003 0.320 0.370 (multiplicity 1)
O 0.022 0.090 0.523 (multiplicity 1)
O 0.027 0.415 0.783 (multiplicity 1)
O 0.027 0.988 0.285 (multiplicity 1)
O 0.095 0.818 0.122 (multiplicity 1)
O 0.097 0.677 0.977 (multiplicity 1)
O 0.110 0.069 0.113 (multiplicity 1)
O 0.114 0.246 0.621 (multiplicity 1)
O 0.115 0.510 0.633 (multiplicity 1)
O 0.115 0.654 0.481 (multiplicity 1)
O 0.151 0.417 0.266 (multiplicity 1)
O 0.151 0.855 0.774 (multiplicity 1)
O 0.226 0.253 0.114 (multiplicity 1)
O 0.250 0.949 0.633 (multiplicity 1)
O 0.252 0.666 0.625 (multiplicity 1)
O 0.254 0.517 0.122 (multiplicity 1)
O 0.287 0.135 0.775 (multiplicity 1)
O 0.288 0.705 0.266 (multiplicity 1)
O 0.288 0.987 0.269 (multiplicity 1)
O 0.316 0.398 0.784 (multiplicity 1)
O 0.386 0.800 0.122 (multiplicity 1)
O 0.388 0.237 0.630 (multiplicity 1)
O 0.419 0.995 0.416 (multiplicity 1)
O 0.426 0.408 0.278 (multiplicity 1)
O 0.426 0.586 0.784 (multiplicity 1)
O 0.427 0.140 0.264 (multiplicity 1)
O 0.444 0.972 0.919 (multiplicity 1)
O 0.446 0.833 0.774 (multiplicity 1)
O 0.510 0.664 0.611 (multiplicity 1)
O 0.512 0.239 0.114 (multiplicity 1)
O 0.525 0.565 0.371 (multiplicity 1)
O 0.536 0.333 0.524 (multiplicity 1)
O 0.556 0.567 0.018 (multiplicity 1)
O 0.561 0.533 0.196 (multiplicity 1)
O 0.568 0.328 0.699 (multiplicity 1)
O 0.574 0.338 0.875 (multiplicity 1)
O 0.581 0.995 0.769 (multiplicity 1)
O 0.588 0.844 0.276 (multiplicity 1)
O 0.670 0.804 0.623 (multiplicity 1)
O 0.682 0.071 0.615 (multiplicity 1)
O 0.684 0.677 0.122 (multiplicity 1)
O 0.691 0.945 0.121 (multiplicity 1)
O 0.749 0.579 0.509 (multiplicity 1)
O 0.760 0.528 0.860 (multiplicity 1)
O 0.764 0.126 0.205 (multiplicity 1)
O 0.777 0.087 0.383 (multiplicity 1)
O 0.777 0.118 0.030 (multiplicity 1)
O 0.782 0.526 0.684 (multiplicity 1)
O 0.842 0.710 0.775 (multiplicity 1)
O 0.852 0.979 0.776 (multiplicity 1)
O 0.855 0.582 0.285 (multiplicity 1)
O 0.863 0.853 0.271 (multiplicity 1)
O 0.952 0.801 0.626 (multiplicity 1)
O 0.959 0.657 0.126 (multiplicity 1)
O 0.970 0.317 0.019 (multiplicity 1)
O 0.970 0.330 0.196 (multiplicity 1)
O 0.975 0.121 0.698 (multiplicity 1)
O 0.981 0.092 0.876 (multiplicity 1)

3.
DFT (GGA+U) results for a geometry-optimized Ho3Fe5O12 structure.

a = 12.490 Å, b = 12.490 Å, c = 12.490 Å
α = 90.00°, β = 90.00°, γ = 90.00°
Space group Ia-3d (No. 230)
Asymmetric unit:
Ho 0.000 0.250 0.125 (multiplicity 24)
Fe 0.000 0.000 0.000 (multiplicity 16)
Fe 0.000 0.250 0.375 (multiplicity 24)
O 0.026 0.058 0.651 (multiplicity 96)

4.
DFT (GGA+U) results for a geometry-optimized Ba4Fe3Se6F4 structure.

a = 13.234 Å, b = 19.496 Å, c = 6.494 Å
α = 90.00°, β = 90.00°, γ = 90.00°
Space group Pnma (No. 62)
Asymmetric unit:
Ba 0.003 0.074 0.244 (multiplicity 8)
Ba 0.248 0.074 0.734 (multiplicity 8)
Fe 0.047 0.250 0.858 (multiplicity 4)
Fe 0.125 0.750 0.496 (multiplicity 4)
Fe 0.204 0.250 0.353 (multiplicity 4)
Se 0.021 0.646 0.274 (multiplicity 8)
Se 0.025 0.250 0.237 (multiplicity 4)
Se 0.225 0.250 0.732 (multiplicity 4)
Se 0.228 0.646 0.718 (multiplicity 8)
F 0.125 0.001 0.488 (multiplicity 8)
F 0.125 0.002 0.989 (multiplicity 8)

no.,energy of formation from the pure elements (eV/atom)
1,-2.8659
2,-2.5223
3,-2.5508
4,-1.2848